No. 1
A plane-wave DFT calculation with r2SCAN was carried out for crystalline CaFe2As2 at its relaxed geometry.

Results
total magnetization: 11.337 Bohr magnetons per cell
electronic total energy: -13.58 eV per atom

Unit cell a=5.488 b=6.510 c=5.495 alpha=65.01 beta=90.00 gamma=90.00
Positions (direct):
Ca: 0.500 0.000 0.500
Ca: 0.000 0.000 0.000
Fe: 0.250 0.500 0.000
Fe: 0.750 0.500 0.000
Fe: 0.750 0.500 0.500
Fe: 0.250 0.500 0.500
As: 0.500 0.752 0.124
As: 0.000 0.752 0.624
As: 0.000 0.248 0.376
As: 0.500 0.247 0.876

=====

No. 2
A plane-wave DFT calculation with r2SCAN was carried out for crystalline Ca3Ge2As4 at its relaxed geometry.

Results
total magnetization: 0.000 Bohr magnetons per cell
electronic total energy: -12.89 eV per atom
space-group type: P2_1/c, No. 14

Unit cell a=7.321 b=17.950 c=7.275 alpha=90.00 beta=111.64 gamma=90.00
Positions (direct):
Ca: 0.217 0.183 0.013
Ca: 0.217 0.317 0.513
Ca: 0.255 0.058 0.512
Ca: 0.255 0.442 0.012
Ca: 0.263 0.562 0.502
Ca: 0.263 0.938 0.002
Ca: 0.737 0.062 0.998
Ca: 0.737 0.438 0.498
Ca: 0.745 0.558 0.988
Ca: 0.745 0.942 0.488
Ca: 0.783 0.683 0.487
Ca: 0.783 0.817 0.987
Ge: 0.210 0.627 0.031
Ge: 0.210 0.873 0.531
Ge: 0.319 0.741 0.920
Ge: 0.319 0.759 0.420
Ge: 0.681 0.241 0.580
Ge: 0.681 0.259 0.080
Ge: 0.790 0.127 0.469
Ge: 0.790 0.373 0.969
As: 0.003 0.559 0.745
As: 0.003 0.941 0.245
As: 0.031 0.686 0.224
As: 0.031 0.814 0.724
As: 0.485 0.196 0.769
As: 0.485 0.304 0.269
As: 0.494 0.066 0.253
As: 0.494 0.434 0.753
As: 0.506 0.566 0.247
As: 0.506 0.934 0.747
As: 0.515 0.696 0.731
As: 0.515 0.804 0.231
As: 0.969 0.186 0.276
As: 0.969 0.314 0.776
As: 0.997 0.059 0.755
As: 0.997 0.441 0.255

=====

What did we get for E_form? Answer: -525.3 -928.5 meV/atom, in the order shown.